Record 1
InHgTe2 | PBE | optimized geometry

a = 4.9046 Å, b = 4.9046 Å, c = 23.0382 Å
α = 90.00°, β = 90.00°, γ = 120.00°
Space group R3m (No. 160, hexagonal axes)
Symmetry-distinct sites (fractional):
In1 0.0000 0.0000 0.0000 (multiplicity 3)
Hg1 0.0000 0.0000 0.4952 (multiplicity 3)
Te1 0.0000 0.0000 0.1278 (multiplicity 3)
Te2 0.0000 0.0000 0.6257 (multiplicity 3)

Properties
Final energy = -2.49 eV per atom
Total energy after the MP2020 corrections = -2.698 eV/atom
Magnetic moment = 0.00 μB/cell
V = 160.0 Å³/f.u.
Mass density = 5.9 g cm⁻³
Crystal system = trigonal

Record 2
In2HgTe4 | PBE | optimized geometry

a = 6.4135 Å, b = 6.4135 Å, c = 12.7179 Å
α = 90.00°, β = 90.00°, γ = 90.00°
Space group I-4 (No. 82)
Symmetry-distinct sites (fractional):
In1 0.0000 0.0000 0.0000 (multiplicity 2)
In2 0.0000 0.5000 0.2500 (multiplicity 2)
Hg1 0.0000 0.0000 0.5000 (multiplicity 2)
Te1 0.2244 0.7302 0.8626 (multiplicity 8)

Properties
Final energy = -2.92 eV per atom
Total energy after the MP2020 corrections = -3.162 eV/atom
V = 261.6 Å³/f.u.
Piezoelectric modulus e_max = 0.154 C/m²
Mass density = 6.0 g cm⁻³
Energy above the most stable polymorph in this dataset = 0.000 eV/atom
Crystal system = tetragonal

Record 3
In2HgTe4 | PBE | optimized geometry

a = 6.1672 Å, b = 6.1672 Å, c = 11.9650 Å
α = 90.00°, β = 90.00°, γ = 90.00°
Space group I-4m2 (No. 119)
Symmetry-distinct sites (fractional):
In1 0.0000 0.0000 0.0000 (multiplicity 2)
In2 0.0000 0.5000 0.2500 (multiplicity 2)
Hg1 0.0000 0.5000 0.7500 (multiplicity 2)
Te1 0.0000 0.0000 0.2442 (multiplicity 4)
Te2 0.0000 0.5000 0.0085 (multiplicity 4)

Properties
Final energy = -2.71 eV per atom
Total energy after the MP2020 corrections = -2.949 eV/atom
Magnetic moment = 0.02 μB/cell
V = 227.5 Å³/f.u.
Mass density = 6.9 g cm⁻³
Energy above the most stable polymorph in this dataset = 0.213 eV/atom
Crystal system = tetragonal

Record 4
Tm2InHg | PBE | optimized geometry

a = 7.4166 Å, b = 7.4166 Å, c = 7.4166 Å
α = 90.00°, β = 90.00°, γ = 90.00°
Space group Fm-3m (No. 225)
Symmetry-distinct sites (fractional):
Tm1 0.2500 0.2500 0.2500 (multiplicity 8)
In1 0.0000 0.0000 0.0000 (multiplicity 4)
Hg1 0.0000 0.0000 0.5000 (multiplicity 4)

Properties
Final energy = -3.44 eV per atom
V = 102.0 Å³/f.u.
Mass density = 10.6 g cm⁻³
Crystal system = cubic

Record 5
Hg3Ir | PBE | optimized geometry

a = 4.1531 Å, b = 4.1531 Å, c = 9.1958 Å
α = 90.00°, β = 90.00°, γ = 90.00°
Space group I4/mmm (No. 139)
Symmetry-distinct sites (fractional):
Hg1 0.0000 0.0000 0.0000 (multiplicity 2)
Hg2 0.0000 0.5000 0.2500 (multiplicity 4)
Ir1 0.0000 0.0000 0.5000 (multiplicity 2)

Properties
Final energy = -1.98 eV per atom
Magnetic moment = 0.00 μB/cell
V = 79.3 Å³/f.u.
Mass density = 16.6 g cm⁻³
Crystal system = tetragonal

Record 6
KHg | PBE | optimized geometry

a = 6.7297 Å, b = 7.1147 Å, c = 7.2429 Å
α = 108.65°, β = 101.91°, γ = 90.36°
Space group P-1 (No. 2)
Symmetry-distinct sites (fractional):
K1 0.1827 0.2964 0.1387 (multiplicity 2)
K2 0.2610 0.8471 0.5571 (multiplicity 2)
Hg1 0.2965 0.3958 0.6960 (multiplicity 2)
Hg2 0.3602 0.7771 0.0630 (multiplicity 2)

Properties
Final energy = -0.96 eV per atom
V = 80.1 Å³/f.u.
Mass density = 5.0 g cm⁻³
Crystal system = triclinic

Record 7
K2Hg7 | PBE | optimized geometry

a = 7.1433 Å, b = 7.1433 Å, c = 6.5571 Å
α = 90.00°, β = 90.00°, γ = 120.00°
Space group P-3m1 (No. 164)
Symmetry-distinct sites (fractional):
K1 0.3333 0.6667 0.3411 (multiplicity 2)
Hg1 0.0000 0.0000 0.5000 (multiplicity 1)
Hg2 0.1820 0.3641 0.8325 (multiplicity 6)

Properties
Final energy = -0.70 eV per atom
V = 289.8 Å³/f.u.
Mass density = 8.5 g cm⁻³
Crystal system = trigonal

Record 8
KHg11 | PBE | optimized geometry

a = 10.3789 Å, b = 10.3789 Å, c = 10.3789 Å
α = 90.00°, β = 90.00°, γ = 90.00°
Space group Pm-3m (No. 221)
Symmetry-distinct sites (fractional):
K1 0.0000 0.0000 0.5000 (multiplicity 3)
Hg1 0.0000 0.3450 0.3450 (multiplicity 12)
Hg2 0.1528 0.1528 0.1528 (multiplicity 8)
Hg3 0.2675 0.2675 0.5000 (multiplicity 12)
Hg4 0.5000 0.5000 0.5000 (multiplicity 1)

Properties
Final energy = -0.45 eV per atom
V = 372.7 Å³/f.u.
Mass density = 10.0 g cm⁻³
Crystal system = cubic

no.,ΔH_f (0 K) (eV/f.u.)
1,-1.45
2,-3.75
3,-2.26
4,-1.75
5,1.84
6,-0.50
7,-1.93
8,-0.99